Record 1
r2SCAN NaSn, optimized geometry; E_form = -0.266 eV/atom; calculated volume = 59 Å³/f.u.; ρ = 3.979 g cm⁻³; total magnetic moment = 0.000 μB per atom
1.0
-5.214 5.214 8.703
5.214 -5.214 8.703
5.214 5.214 -8.703
Na Sn
16 16
Direct
0.003 0.497 0.250
0.126 0.250 0.376
0.247 0.997 0.993
0.250 0.374 0.124
0.250 0.874 0.624
0.253 0.247 0.750
0.374 0.750 0.124
0.497 0.747 0.493
0.503 0.253 0.507
0.626 0.250 0.876
0.747 0.753 0.250
0.750 0.126 0.376
0.750 0.626 0.876
0.753 0.003 0.007
0.874 0.750 0.624
0.997 0.503 0.750
0.005 0.060 0.694
0.060 0.866 0.055
0.134 0.689 0.194
0.189 0.634 0.694
0.311 0.005 0.445
0.366 0.560 0.555
0.440 0.495 0.806
0.495 0.189 0.055
0.505 0.811 0.945
0.560 0.505 0.194
0.634 0.440 0.445
0.689 0.995 0.555
0.811 0.366 0.306
0.866 0.311 0.806
0.940 0.134 0.945
0.995 0.940 0.306


Record 2
r2SCAN La2UO6, optimized geometry; E_form = -3.735 eV/atom; calculated volume = 127 Å³/f.u.; ρ = 8.021 g cm⁻³; total magnetic moment = 0.000 μB per atom
1.0
3.950 0.000 0.000
-0.016 5.581 0.000
-1.967 -2.786 5.746
La U O
2 1 6
Direct
0.164 0.164 0.328
0.836 0.836 0.672
0.500 0.500 0.000
0.001 0.280 0.000
0.350 0.582 0.702
0.352 0.118 0.702
0.648 0.882 0.298
0.650 0.418 0.298
0.999 0.720 0.000


Record 3
r2SCAN Ho3Pt, optimized geometry; E_form = -0.804 eV/atom; calculated volume = 108 Å³/f.u.; ρ = 10.649 g cm⁻³; total magnetic moment = 0.100 μB per atom
1.0
6.990 0.000 0.000
0.000 9.572 0.000
0.000 0.000 6.431
Ho Pt
12 4
Direct
0.028 0.250 0.134
0.176 0.062 0.681
0.176 0.438 0.681
0.324 0.562 0.181
0.324 0.938 0.181
0.472 0.750 0.634
0.528 0.250 0.366
0.676 0.062 0.819
0.676 0.438 0.819
0.824 0.562 0.319
0.824 0.938 0.319
0.972 0.750 0.866
0.114 0.750 0.450
0.386 0.250 0.950
0.614 0.750 0.050
0.886 0.250 0.550